Record 1
# SrAl2Si2O8

SrAl2Si2O8 after structural relaxation (PBE, Materials Project).

space-group type	P-3c1
final energy	-197.759	eV/cell
formation enthalpy at 0 K	-3443.1	meV per atom
spin magnetization	0.000	μB/cell

abc: 5.240 5.240 15.429
angles: 90.00 90.00 60.00
Atoms (fractional coordinates):
O 0.333 0.333 0.743
O 0.590 0.399 0.601
O 0.399 0.012 0.601
O 0.667 0.667 0.757
O 0.399 0.590 0.101
O 0.601 0.988 0.399
O 0.667 0.667 0.257
O 0.590 0.012 0.101
O 0.410 0.601 0.399
O 0.410 0.988 0.899
O 0.012 0.399 0.101
O 0.601 0.410 0.899
O 0.988 0.601 0.899
O 0.988 0.410 0.399
O 0.012 0.590 0.601
O 0.333 0.333 0.243
Al 0.333 0.333 0.354
Al 0.667 0.667 0.646
Al 0.667 0.667 0.146
Al 0.333 0.333 0.854
Sr 0.000 0.000 0.500
Sr 0.000 0.000 0.000
Si 0.333 0.333 0.639
Si 0.667 0.667 0.861
Si 0.333 0.333 0.139
Si 0.667 0.667 0.361

=====

Record 2
# Sr5Al10Si14O48

Sr5Al10Si14O48 after structural relaxation (PBE, Materials Project).

space-group type	P1
final energy	-587.249	eV/cell
formation enthalpy at 0 K	-3387.9	meV per atom
spin magnetization	0.003	μB/cell

abc: 7.259 7.784 20.104
angles: 100.10 90.42 103.61
Atoms (fractional coordinates):
Si 0.064 0.305 0.268
Si 0.163 0.768 0.063
Si 0.953 0.905 0.273
Si 0.289 0.250 0.943
Si 0.497 0.961 0.860
Si 0.598 0.353 0.063
Si 0.156 0.612 0.190
Si 0.510 0.101 0.728
Si 0.510 0.044 0.140
Si 0.804 0.279 0.526
Si 0.921 0.704 0.734
Si 0.178 0.720 0.477
Si 0.410 0.649 0.939
Si 0.752 0.969 0.603
Al 0.157 0.567 0.608
Al 0.376 0.429 0.393
Al 0.720 0.755 0.061
Al 0.610 0.573 0.612
Al 0.266 0.026 0.396
Al 0.507 0.896 0.270
Al 0.850 0.240 0.941
Al 0.822 0.429 0.395
Al 0.064 0.099 0.721
Al 0.867 0.390 0.810
Sr 0.367 0.508 0.753
Sr 0.695 0.843 0.419
Sr 0.595 0.463 0.245
Sr 0.936 0.813 0.915
Sr 0.278 0.177 0.564
O 0.272 0.370 0.308
O 0.509 0.067 0.222
O 0.449 0.952 0.353
O 0.298 0.954 0.103
O 0.651 0.564 0.097
O 0.185 0.729 0.558
O 0.395 0.302 0.017
O 0.357 0.083 0.896
O 0.619 0.712 0.975
O 0.909 0.622 0.804
O 0.967 0.629 0.440
O 0.689 0.757 0.572
O 0.312 0.146 0.705
O 0.313 0.251 0.435
O 0.371 0.686 0.224
O 0.869 0.414 0.897
O 0.660 0.938 0.108
O 0.618 0.500 0.374
O 0.559 0.256 0.130
O 0.979 0.920 0.761
O 0.961 0.800 0.041
O 0.065 0.170 0.947
O 0.074 0.404 0.201
O 0.797 0.261 0.445
O 0.086 0.635 0.690
O 0.738 0.062 0.536
O 0.042 0.945 0.350
O 0.724 0.829 0.279
O 0.967 0.046 0.636
O 0.599 0.025 0.658
O 0.149 0.611 0.108
O 0.711 0.631 0.695
O 0.711 0.028 0.893
O 0.016 0.361 0.563
O 0.342 0.631 0.439
O 0.411 0.747 0.871
O 0.756 0.281 0.019
O 0.248 0.711 0.988
O 0.367 0.504 0.627
O 0.008 0.086 0.239
O 0.894 0.361 0.312
O 0.476 0.944 0.777
O 0.045 0.305 0.767
O 0.015 0.736 0.225
O 0.646 0.373 0.564
O 0.231 0.932 0.470
O 0.637 0.288 0.771
O 0.344 0.433 0.907

=====

Record 3
# SrAl2Si2O8

SrAl2Si2O8 after structural relaxation (PBE, Materials Project).

space-group type	C2/c
final energy	-372.903	eV/cell
formation enthalpy at 0 K	-2684.5	meV per atom
spin magnetization	3.997	μB/cell

abc: 9.385 9.385 9.650
angles: 81.06 81.06 74.48
Atoms (fractional coordinates):
O 0.848 0.843 0.042
O 0.921 0.396 0.958
O 0.625 0.687 0.404
O 0.393 0.637 0.942
O 0.396 0.921 0.458
O 0.873 0.030 0.285
O 0.079 0.604 0.042
O 0.637 0.393 0.442
O 0.720 0.960 0.784
O 0.030 0.873 0.785
O 0.127 0.970 0.715
O 0.687 0.625 0.904
O 0.604 0.079 0.542
O 0.607 0.363 0.058
O 0.860 0.123 0.587
O 0.970 0.127 0.215
O 0.140 0.877 0.413
O 0.157 0.152 0.458
O 0.515 0.768 0.697
O 0.040 0.280 0.716
O 0.280 0.040 0.216
O 0.375 0.313 0.596
O 0.313 0.375 0.096
O 0.152 0.157 0.958
O 0.363 0.607 0.558
O 0.232 0.485 0.803
O 0.877 0.140 0.913
O 0.768 0.515 0.197
O 0.123 0.860 0.087
O 0.485 0.232 0.303
O 0.960 0.720 0.284
O 0.843 0.848 0.542
Si 0.280 0.480 0.633
Si 0.241 0.997 0.387
Si 0.520 0.720 0.867
Si 0.480 0.280 0.133
Si 0.759 0.003 0.613
Si 0.720 0.520 0.367
Si 0.997 0.241 0.887
Si 0.003 0.759 0.113
Al 0.970 0.859 0.386
Al 0.141 0.030 0.114
Al 0.030 0.141 0.614
Al 0.266 0.531 0.964
Al 0.734 0.469 0.036
Al 0.859 0.970 0.886
Al 0.469 0.734 0.536
Al 0.531 0.266 0.464
Sr 0.051 0.366 0.222
Sr 0.949 0.634 0.778
Sr 0.634 0.949 0.278
Sr 0.366 0.051 0.722

=====

Q: Among the records above, which one has the highest formation enthalpy at 0 K?
A: number 3

=====

Q: formation enthalpy at 0 K of number 1 (SrAl2Si2O8)?
A: -3443.1 meV per atom